[1]
# Ac2TlSn (r2SCAN, relaxed)
# Energy, eV/atom: -54.370
# Energy of formation from the pure elements, eV/atom: -0.570
data_Ac2TlSn
_space_group_name_H-M_alt 'F m -3 m'
_space_group_IT_number 225
_space_group_name_Hall '-F 4 2 3'
_cell_length_a 8.225
_cell_length_b 8.225
_cell_length_c 8.225
_cell_angle_alpha 90.00
_cell_angle_beta 90.00
_cell_angle_gamma 90.00
loop_
_atom_site_label
_atom_site_type_symbol
_atom_site_fract_x
_atom_site_fract_y
_atom_site_fract_z
Ac1 Ac 0.250 0.250 0.250
Tl1 Tl 0.000 0.000 0.000
Sn1 Sn 0.000 0.000 0.500


[2]
# LaF3 (r2SCAN, relaxed)
# Energy, eV/atom: -14.289
# Energy of formation from the pure elements, eV/atom: -4.508
data_LaF3
_space_group_name_H-M_alt 'P -3 c 1'
_space_group_IT_number 165
_space_group_name_Hall '-P 3 2"c'
_cell_length_a 7.1672
_cell_length_b 7.1672
_cell_length_c 7.3318
_cell_angle_alpha 90.00
_cell_angle_beta 90.00
_cell_angle_gamma 120.00
loop_
_atom_site_label
_atom_site_type_symbol
_atom_site_fract_x
_atom_site_fract_y
_atom_site_fract_z
La1 La 0.0000 0.3418 0.2500
F1 F 0.0000 0.0000 0.2500
F2 F 0.0560 0.3678 0.5814
F3 F 0.3333 0.6667 0.3177


[3]
# USe2 (r2SCAN, relaxed)
# Energy, eV/atom: -37.750
# Energy of formation from the pure elements, eV/atom: -1.562
data_USe2
_space_group_name_H-M_alt 'P 1'
_space_group_IT_number 1
_space_group_name_Hall 'P 1'
_cell_length_a 6.635
_cell_length_b 10.760
_cell_length_c 10.773
_cell_angle_alpha 90.11
_cell_angle_beta 90.02
_cell_angle_gamma 90.00
loop_
_atom_site_label
_atom_site_type_symbol
_atom_site_fract_x
_atom_site_fract_y
_atom_site_fract_z
U1 U 0.000 0.000 0.000
U2 U 0.000 0.492 0.188
U3 U 0.006 0.678 0.696
U4 U 0.008 0.187 0.507
U5 U 0.502 0.687 0.006
U6 U 0.504 0.178 0.196
U7 U 0.510 0.499 0.500
U8 U 0.511 0.992 0.688
U9 U 0.608 0.339 0.850
U10 U 0.904 0.839 0.350
Se1 Se 0.134 0.628 0.440
Se2 Se 0.134 0.747 0.138
Se3 Se 0.135 0.931 0.558
Se4 Se 0.136 0.048 0.257
Se5 Se 0.255 0.840 0.848
Se6 Se 0.256 0.340 0.348
Se7 Se 0.375 0.549 0.757
Se8 Se 0.376 0.431 0.058
Se9 Se 0.377 0.247 0.638
Se10 Se 0.378 0.128 0.940
Se11 Se 0.647 0.632 0.260
Se12 Se 0.649 0.046 0.436
Se13 Se 0.649 0.750 0.557
Se14 Se 0.649 0.927 0.140
Se15 Se 0.755 0.338 0.348
Se16 Se 0.755 0.838 0.848
Se17 Se 0.861 0.546 0.936
Se18 Se 0.862 0.250 0.058
Se19 Se 0.863 0.132 0.760
Se20 Se 0.863 0.427 0.640


[4]
# HoAl2Ni (r2SCAN, relaxed)
# Energy, eV/atom: -15.270
# Energy of formation from the pure elements, eV/atom: -0.689
data_HoAl2Ni
_space_group_name_H-M_alt 'C m c m'
_space_group_IT_number 63
_space_group_name_Hall '-C 2c 2'
_cell_length_a 4.015
_cell_length_b 10.137
_cell_length_c 6.834
_cell_angle_alpha 90.00
_cell_angle_beta 90.00
_cell_angle_gamma 90.00
loop_
_atom_site_label
_atom_site_type_symbol
_atom_site_fract_x
_atom_site_fract_y
_atom_site_fract_z
Ho1 Ho 0.000 0.060 0.250
Al1 Al 0.000 0.341 0.055
Ni1 Ni 0.000 0.216 0.750


Number 1: volume 556 Å³/cell, magnetization 0.00 μB/cell. Number 2: volume 326 Å³/cell, magnetization 0.00 μB/cell. Number 3: volume 769 Å³/cell, magnetization 20.00 μB/cell. Number 4: volume 278 Å³/cell, magnetization 0.00 μB/cell.